No. 1
Computed, not measured: a relaxed NdInNi4 crystal at the meta-GGA r2SCAN level of DFT.

ΔE_f (eV/atom): -0.29
Energy (eV/atom): -16.944

The structure in POSCAR format:
```
NdInNi4
1.0
0.0000 3.5394 3.5394
3.5394 0.0000 3.5394
3.5394 3.5394 0.0000
Nd In Ni
1 1 4
Direct
0.0000 0.0000 0.0000
0.2500 0.2500 0.2500
0.1294 0.6235 0.6235
0.6235 0.1294 0.6235
0.6235 0.6235 0.1294
0.6235 0.6235 0.6235
```

No. 2
Computed, not measured: a relaxed Sn15Os3O14 crystal at the meta-GGA r2SCAN level of DFT.

ΔE_f (eV/atom): -1.27
Energy (eV/atom): -20.447

The structure in POSCAR format:
```
Sn15Os3O14
1.0
6.2356 -3.5673 0.0000
6.2356 3.5673 0.0000
-4.1279 0.0000 12.3446
Sn Os O
15 3 14
Direct
0.0000 0.0000 0.0000
0.2786 0.7588 0.7574
0.2926 0.2926 0.7926
0.3367 0.3367 0.4984
0.3387 0.8539 0.4937
0.4261 0.9446 0.2661
0.5216 0.9965 0.0083
0.5287 0.5287 0.0304
0.7528 0.7528 0.7416
0.7588 0.2786 0.7574
0.8539 0.3387 0.4937
0.8637 0.8637 0.5376
0.9446 0.4261 0.2661
0.9449 0.9449 0.2608
0.9965 0.5216 0.0083
0.1385 0.1385 0.8849
0.5475 0.5475 0.6133
0.7338 0.7338 0.1512
0.0736 0.0736 0.1714
0.0866 0.5927 0.7362
0.1933 0.1933 0.5497
0.2026 0.6676 0.0333
0.2720 0.2720 0.3305
0.2734 0.8290 0.3268
0.4734 0.4734 0.8622
0.5448 0.9726 0.4521
0.5927 0.0866 0.7362
0.6676 0.2026 0.0333
0.8083 0.8083 0.9092
0.8290 0.2734 0.3268
0.9722 0.9722 0.4454
0.9726 0.5448 0.4521
```

No. 3
Computed, not measured: a relaxed LiMg14BiO16 crystal at the meta-GGA r2SCAN level of DFT.

ΔE_f (eV/atom): -2.73
Energy (eV/atom): -9.442

The structure in POSCAR format:
```
LiMg14BiO16
1.0
4.3127 0.0000 0.0000
0.0000 8.5508 0.0000
0.0000 0.0000 8.5637
Li Mg Bi O
1 14 1 16
Direct
0.0000 0.0000 0.0000
0.0000 0.0000 0.5000
0.0000 0.2364 0.2540
0.0000 0.2364 0.7460
0.0000 0.5000 0.5000
0.0000 0.7636 0.2540
0.0000 0.7636 0.7460
0.5000 0.0000 0.2452
0.5000 0.0000 0.7548
0.5000 0.2287 0.0000
0.5000 0.2450 0.5000
0.5000 0.5000 0.2639
0.5000 0.5000 0.7361
0.5000 0.7550 0.5000
0.5000 0.7713 0.0000
0.0000 0.5000 0.0000
0.0000 0.0000 0.2622
0.0000 0.0000 0.7378
0.0000 0.2329 0.0000
0.0000 0.2494 0.5000
0.0000 0.5000 0.2682
0.0000 0.5000 0.7318
0.0000 0.7506 0.5000
0.0000 0.7671 0.0000
0.5000 0.0000 0.0000
0.5000 0.0000 0.5000
0.5000 0.2521 0.2489
0.5000 0.2521 0.7511
0.5000 0.5000 0.0000
0.5000 0.5000 0.5000
0.5000 0.7479 0.2489
0.5000 0.7479 0.7511
```